Crystalline Li3Rh at its relaxed geometry, computed with meta-GGA r2SCAN.

Structure (POSCAR):
```
Li3Rh
1.0
5.2945 0.0000 0.0000
-2.6472 4.5851 0.0000
0.0000 0.0000 4.4369
Li Rh
6 2
direct
0.1755 0.3510 0.2500
0.1755 0.8245 0.2500
0.3510 0.1755 0.7500
0.6490 0.8245 0.2500
0.8245 0.1755 0.7500
0.8245 0.6490 0.7500
0.3333 0.6667 0.7500
0.6667 0.3333 0.2500
```

The calculation puts the formation energy at -0.023 eV/atom. As for the magnetic moment: 0.00 μB per cell. The electronic total energy is -7.85 eV per atom.

---

Crystalline Cu5As2 at its relaxed geometry, computed with meta-GGA r2SCAN.

Structure (POSCAR):
```
Cu5As2
1.0
5.5280 0.0000 0.0000
-0.0016 5.9394 0.0000
-2.7495 -2.9656 5.7194
Cu As
10 4
direct
0.0197 0.2700 0.0393
0.1045 0.2976 0.7091
0.2503 0.5003 0.5004
0.3947 0.0882 0.2892
0.4804 0.7301 0.9606
0.5196 0.2699 0.0394
0.6053 0.9118 0.7108
0.7497 0.4997 0.4996
0.8955 0.7024 0.2909
0.9803 0.7300 0.9607
0.1165 0.8940 0.7340
0.3829 0.6604 0.2666
0.6171 0.3396 0.7334
0.8835 0.1060 0.2660
```

The calculation puts the formation energy at 0.047 eV/atom. As for the magnetic moment: 0.00 μB per cell. The electronic total energy is -11.90 eV per atom.

---

Crystalline PrAg2 at its relaxed geometry, computed with meta-GGA r2SCAN.

Structure (POSCAR):
```
PrAg2
1.0
4.7356 -3.6104 0.0000
4.7356 3.6104 0.0000
-2.4174 0.0000 4.1450
Pr Ag
2 4
direct
0.2123 0.2123 0.4631
0.7877 0.7877 0.5369
0.2088 0.6218 0.1657
0.3782 0.7912 0.8343
0.6218 0.2088 0.1657
0.7912 0.3782 0.8343
```

The calculation puts the formation energy at -0.283 eV/atom. As for the magnetic moment: 0.00 μB per cell. The electronic total energy is -24.32 eV per atom.

---

Crystalline SiO2 at its relaxed geometry, computed with meta-GGA r2SCAN.

Structure (POSCAR):
```
SiO2
1.0
6.8576 0.0000 0.0000
0.0000 6.8576 0.0000
0.0000 0.0000 7.0331
Si O
8 16
direct
0.0490 0.2942 0.0508
0.2058 0.4510 0.4492
0.2942 0.9510 0.9492
0.4510 0.7942 0.5508
0.5490 0.2058 0.5508
0.7058 0.0490 0.9492
0.7942 0.5490 0.4492
0.9510 0.7058 0.0508
0.0000 0.5000 0.5503
0.0000 0.5000 0.9497
0.1569 0.8180 0.0832
0.1608 0.3392 0.2500
0.1820 0.1569 0.9168
0.3180 0.6569 0.4168
0.3392 0.8392 0.7500
0.3431 0.3180 0.5832
0.5000 0.0000 0.0503
0.5000 0.0000 0.4497
0.6569 0.6820 0.5832
0.6608 0.1608 0.7500
0.6820 0.3431 0.4168
0.8180 0.8431 0.9168
0.8392 0.6608 0.2500
0.8431 0.1820 0.0832
```

The calculation puts the formation energy at -2.965 eV/atom. As for the magnetic moment: 0.00 μB per cell. The electronic total energy is -9.87 eV per atom.

---

Crystalline MgIn2Te4 at its relaxed geometry, computed with meta-GGA r2SCAN.

Structure (POSCAR):
```
MgIn2Te4
1.0
-3.1727 3.1727 6.2932
3.1727 -3.1727 6.2932
3.1727 3.1727 -6.2932
Mg In Te
1 2 4
direct
0.0000 0.0000 0.0000
0.2500 0.7500 0.5000
0.5000 0.5000 0.0000
0.0969 0.1345 0.5000
0.4031 0.9031 0.0376
0.6345 0.5969 0.5000
0.8655 0.3655 0.9624
```

The calculation puts the formation energy at -0.637 eV/atom. As for the magnetic moment: 0.00 μB per cell. The electronic total energy is -22.21 eV per atom.

---

Crystalline K2Ta4O11 at its relaxed geometry, computed with meta-GGA r2SCAN.

Structure (POSCAR):
```
K2Ta4O11
1.0
3.1463 1.8165 12.3343
-3.1463 1.8165 12.3343
0.0000 -3.6330 12.3343
K Ta O
4 8 22
direct
0.1740 0.1740 0.1740
0.3260 0.3260 0.3260
0.6740 0.6740 0.6740
0.8260 0.8260 0.8260
0.0000 0.0000 0.0000
0.1152 0.7500 0.3848
0.2500 0.6152 0.8848
0.3848 0.1152 0.7500
0.5000 0.5000 0.5000
0.6152 0.8848 0.2500
0.7500 0.3848 0.1152
0.8848 0.2500 0.6152
0.0048 0.4952 0.2500
0.0696 0.7602 0.2650
0.0936 0.0936 0.0936
0.2350 0.7398 0.4304
0.2398 0.7350 0.9304
0.2500 0.0048 0.4952
0.2602 0.5696 0.7650
0.2650 0.0696 0.7602
0.4064 0.4064 0.4064
0.4304 0.2350 0.7398
0.4952 0.2500 0.0048
0.5048 0.7500 0.9952
0.5696 0.7650 0.2602
0.5936 0.5936 0.5936
0.7350 0.9304 0.2398
0.7398 0.4304 0.2350
0.7500 0.9952 0.5048
0.7602 0.2650 0.0696
0.7650 0.2602 0.5696
0.9064 0.9064 0.9064
0.9304 0.2398 0.7350
0.9952 0.5048 0.7500
```

The calculation puts the formation energy at -3.023 eV/atom. As for the magnetic moment: 0.00 μB per cell. The electronic total energy is -19.03 eV per atom.

---

Crystalline GdCo12B6 at its relaxed geometry, computed with meta-GGA r2SCAN.

Structure (POSCAR):
```
GdCo12B6
1.0
4.6764 2.6999 2.4509
-4.6764 2.6999 2.4509
0.0000 -5.3999 2.4509
Gd Co B
1 12 6
direct
0.0000 0.0000 0.0000
0.1330 0.5000 0.8670
0.1330 0.8670 0.5000
0.1857 0.4578 0.4578
0.4578 0.1857 0.4578
0.4578 0.4578 0.1857
0.5000 0.1330 0.8670
0.5000 0.8670 0.1330
0.5422 0.5422 0.8143
0.5422 0.8143 0.5422
0.8143 0.5422 0.5422
0.8670 0.1330 0.5000
0.8670 0.5000 0.1330
0.2306 0.2306 0.6770
0.2306 0.6770 0.2306
0.3230 0.7694 0.7694
0.6770 0.2306 0.2306
0.7694 0.3230 0.7694
0.7694 0.7694 0.3230
```

The calculation puts the formation energy at -0.016 eV/atom. As for the magnetic moment: 10.17 μB per cell. The electronic total energy is -12.98 eV per atom.

---

Crystalline Mn2Al3 at its relaxed geometry, computed with meta-GGA r2SCAN.

Structure (POSCAR):
```
Mn2Al3
1.0
6.3335 0.0000 0.0000
0.0000 6.3335 0.0000
0.0000 0.0000 6.3335
Mn Al
8 12
direct
0.0714 0.0714 0.0714
0.1786 0.8214 0.3214
0.3214 0.1786 0.8214
0.4286 0.9286 0.5714
0.5714 0.4286 0.9286
0.6786 0.6786 0.6786
0.8214 0.3214 0.1786
0.9286 0.5714 0.4286
0.0459 0.8750 0.7041
0.1250 0.2041 0.4541
0.2041 0.4541 0.1250
0.2959 0.5459 0.6250
0.3750 0.7959 0.9541
0.4541 0.1250 0.2041
0.5459 0.6250 0.2959
0.6250 0.2959 0.5459
0.7041 0.0459 0.8750
0.7959 0.9541 0.3750
0.8750 0.7041 0.0459
0.9541 0.3750 0.7959
```

The calculation puts the formation energy at -0.153 eV/atom. As for the magnetic moment: 0.00 μB per cell. The electronic total energy is -10.07 eV per atom.

---

Crystalline Ta2NbIr at its relaxed geometry, computed with meta-GGA r2SCAN.

Structure (POSCAR):
```
Ta2NbIr
1.0
0.0000 3.2253 3.2253
3.2253 0.0000 3.2253
3.2253 3.2253 0.0000
Ta Nb Ir
2 1 1
direct
0.2500 0.2500 0.2500
0.7500 0.7500 0.7500
0.0000 0.0000 0.0000
0.5000 0.5000 0.5000
```

The calculation puts the formation energy at -0.440 eV/atom. As for the magnetic moment: 0.00 μB per cell. The electronic total energy is -44.01 eV per atom.

---

Crystalline P3Au2 at its relaxed geometry, computed with meta-GGA r2SCAN.

Structure (POSCAR):
```
P3Au2
1.0
2.9463 -7.2172 0.0000
2.9463 7.2172 0.0000
-1.4263 0.0000 4.5054
P Au
6 4
direct
0.0490 0.2927 0.1786
0.1808 0.1808 0.4661
0.2927 0.0490 0.1786
0.7073 0.9510 0.8214
0.8192 0.8192 0.5339
0.9510 0.7073 0.8214
0.0000 0.5000 0.5000
0.3905 0.6095 0.0000
0.5000 0.0000 0.5000
0.6095 0.3905 0.0000
```

The calculation puts the formation energy at -0.163 eV/atom. As for the magnetic moment: 0.00 μB per cell. The electronic total energy is -25.80 eV per atom.